(1)
The following is a DFT calculation (PBE+U) of a relaxed Na7V2O6 crystal.

Output
E (MP2020) (eV/atom): -5.59
E (eV for the cell shown): -152.53

Lattice parameters (Å, degrees): 8.1619 8.1619 10.6970 103.62 103.62 41.87
Fractional positions:
Na: 0.0780 0.9220 0.7500
Na: 0.1880 0.2651 0.8076
Na: 0.2379 0.4240 0.5936
Na: 0.2651 0.1880 0.3076
Na: 0.3028 0.5742 0.3500
Na: 0.4240 0.2379 0.0936
Na: 0.4258 0.6972 0.1500
Na: 0.5742 0.3028 0.8500
Na: 0.5760 0.7621 0.9064
Na: 0.6972 0.4258 0.6500
Na: 0.7349 0.8120 0.6924
Na: 0.7621 0.5760 0.4064
Na: 0.8120 0.7349 0.1924
Na: 0.9220 0.0780 0.2500
V: 0.0075 0.2291 0.0355
V: 0.2291 0.0075 0.5355
V: 0.7709 0.9925 0.4645
V: 0.9925 0.7709 0.9645
O: 0.0091 0.3432 0.5842
O: 0.1418 0.6720 0.1255
O: 0.1459 0.6058 0.8105
O: 0.3280 0.8582 0.3745
O: 0.3432 0.0091 0.0842
O: 0.3942 0.8541 0.6895
O: 0.6058 0.1459 0.3105
O: 0.6568 0.9909 0.9158
O: 0.6720 0.1418 0.6255
O: 0.8541 0.3942 0.1895
O: 0.8582 0.3280 0.8745
O: 0.9909 0.6568 0.4158

***

(2)
The following is a DFT calculation (PBE+U) of a relaxed CoP2O7 crystal.

Output
E (MP2020) (eV/atom): -7.29
E (eV for the cell shown): -265.68

Lattice parameters (Å, degrees): 7.1070 8.2733 9.2822 90.00 114.12 90.00
Fractional positions:
Co: 0.2397 0.0847 0.3651
Co: 0.2397 0.4153 0.8651
Co: 0.7603 0.5847 0.1349
Co: 0.7603 0.9153 0.6349
P: 0.0388 0.7453 0.4664
P: 0.0388 0.7547 0.9664
P: 0.4329 0.7265 0.7524
P: 0.4329 0.7735 0.2524
P: 0.5671 0.2265 0.7476
P: 0.5671 0.2735 0.2476
P: 0.9612 0.2453 0.0336
P: 0.9612 0.2547 0.5336
O: 0.0257 0.1119 0.1624
O: 0.0257 0.3881 0.6624
O: 0.1083 0.5992 0.9167
O: 0.1083 0.9008 0.4167
O: 0.1283 0.2354 0.4711
O: 0.1283 0.2646 0.9711
O: 0.2352 0.6622 0.6031
O: 0.2352 0.8378 0.1031
O: 0.3876 0.6147 0.3167
O: 0.3876 0.8853 0.8167
O: 0.3992 0.2451 0.3083
O: 0.3992 0.2549 0.8083
O: 0.4742 0.5875 0.8730
O: 0.4742 0.9125 0.3730
O: 0.5258 0.0875 0.6270
O: 0.5258 0.4125 0.1270
O: 0.6008 0.7451 0.1917
O: 0.6008 0.7549 0.6917
O: 0.6124 0.1147 0.1833
O: 0.6124 0.3853 0.6833
O: 0.7648 0.1622 0.8969
O: 0.7648 0.3378 0.3969
O: 0.8717 0.7354 0.0289
O: 0.8717 0.7646 0.5289
O: 0.8917 0.0992 0.5833
O: 0.8917 0.4008 0.0833
O: 0.9743 0.6119 0.3376
O: 0.9743 0.8881 0.8376

***

(3)
The following is a DFT calculation (PBE+U) of a relaxed CaAs2WO7 crystal.

Output
E (MP2020) (eV/atom): -7.50
E (eV for the cell shown): -293.11

Lattice parameters (Å, degrees): 9.6186 8.2961 11.4832 90.00 125.82 90.00
Fractional positions:
Ca: 0.2188 0.0726 0.1200
Ca: 0.2188 0.4274 0.6200
Ca: 0.7812 0.5726 0.3800
Ca: 0.7812 0.9274 0.8800
As: 0.0425 0.7340 0.2135
As: 0.0425 0.7660 0.7135
As: 0.4302 0.7248 0.0225
As: 0.4302 0.7752 0.5225
As: 0.5698 0.2248 0.4775
As: 0.5698 0.2752 0.9775
As: 0.9575 0.2340 0.2865
As: 0.9575 0.2660 0.7865
W: 0.3295 0.0502 0.7039
W: 0.3295 0.4498 0.2039
W: 0.6705 0.5502 0.7961
W: 0.6705 0.9498 0.2961
O: 0.0268 0.5901 0.6232
O: 0.0268 0.9099 0.1232
O: 0.2001 0.7044 0.9054
O: 0.2001 0.7956 0.4054
O: 0.2044 0.6316 0.1858
O: 0.2044 0.8684 0.6858
O: 0.2498 0.1946 0.7715
O: 0.2498 0.3054 0.2715
O: 0.2579 0.1688 0.5474
O: 0.2579 0.3312 0.0474
O: 0.4360 0.5875 0.6220
O: 0.4360 0.9125 0.1220
O: 0.4800 0.5897 0.1653
O: 0.4800 0.9103 0.6653
O: 0.5200 0.0897 0.3347
O: 0.5200 0.4103 0.8347
O: 0.5640 0.0875 0.8780
O: 0.5640 0.4125 0.3780
O: 0.7421 0.6688 0.9526
O: 0.7421 0.8312 0.4526
O: 0.7502 0.6946 0.7285
O: 0.7502 0.8054 0.2285
O: 0.7956 0.1316 0.3142
O: 0.7956 0.3684 0.8142
O: 0.7999 0.2044 0.5946
O: 0.7999 0.2956 0.0946
O: 0.9732 0.0901 0.8768
O: 0.9732 0.4099 0.3768

***

(4)
The following is a DFT calculation (PBE+U) of a relaxed Si2NiO6 crystal.

Output
E (MP2020) (eV/atom): -7.35
E (eV for the cell shown): -475.59

Lattice parameters (Å, degrees): 5.0535 11.3080 18.4015 90.08 90.04 90.05
Fractional positions:
Si: 0.0000 0.0000 0.0000
Si: 0.0017 0.4994 0.0362
Si: 0.2902 0.1608 0.4985
Si: 0.2926 0.6617 0.5367
Si: 0.3869 0.5019 0.7506
Si: 0.3917 0.0019 0.2838
Si: 0.4010 0.0003 0.7849
Si: 0.4054 0.5011 0.2516
Si: 0.5001 0.1614 0.9990
Si: 0.5023 0.6608 0.0375
Si: 0.7901 0.9998 0.4991
Si: 0.7925 0.4998 0.5361
Si: 0.8855 0.6614 0.7500
Si: 0.8921 0.1597 0.2839
Si: 0.9015 0.1599 0.7837
Si: 0.9052 0.6594 0.2513
Ni: 0.1028 0.3045 0.6419
Ni: 0.1047 0.8070 0.3928
Ni: 0.1860 0.3558 0.8926
Ni: 0.1879 0.8562 0.1425
Ni: 0.6053 0.3551 0.3928
Ni: 0.6067 0.8587 0.6424
Ni: 0.6833 0.8066 0.8942
Ni: 0.6887 0.3056 0.1424
O: 0.1020 0.0496 0.7996
O: 0.1040 0.5477 0.2370
O: 0.1876 0.6139 0.7382
O: 0.1942 0.1140 0.2990
O: 0.3007 0.0492 0.9878
O: 0.3021 0.5487 0.0483
O: 0.3209 0.2176 0.5799
O: 0.3210 0.7220 0.4562
O: 0.3291 0.3961 0.6928
O: 0.3341 0.8935 0.3399
O: 0.3555 0.2708 0.4444
O: 0.3593 0.7709 0.5906
O: 0.3710 0.4551 0.8340
O: 0.3711 0.9582 0.1998
O: 0.4106 0.9498 0.7023
O: 0.4272 0.4593 0.3359
O: 0.4351 0.2702 0.9440
O: 0.4392 0.7693 0.0928
O: 0.4513 0.8960 0.8443
O: 0.4593 0.3925 0.1954
O: 0.4691 0.2208 0.0796
O: 0.4706 0.7201 0.9569
O: 0.4904 0.0492 0.4859
O: 0.4922 0.5496 0.5470
O: 0.6021 0.1115 0.7985
O: 0.6046 0.6122 0.2358
O: 0.6875 0.5492 0.7355
O: 0.6942 0.0475 0.2990
O: 0.8004 0.1118 0.9875
O: 0.8023 0.6111 0.0491
O: 0.8207 0.9441 0.5802
O: 0.8241 0.4404 0.4556
O: 0.8341 0.2678 0.3400
O: 0.8374 0.7681 0.6931
O: 0.8538 0.3905 0.5908
O: 0.8554 0.8907 0.4439
O: 0.8596 0.7090 0.8332
O: 0.8708 0.2033 0.1998
O: 0.9211 0.2034 0.6997
O: 0.9247 0.7040 0.3353
O: 0.9346 0.8906 0.9451
O: 0.9379 0.3900 0.0907
O: 0.9567 0.2682 0.8400
O: 0.9598 0.7678 0.1954
O: 0.9710 0.4432 0.9547
O: 0.9706 0.9429 0.0811
O: 0.9900 0.1117 0.4859
O: 0.9926 0.6114 0.5480

***

Formation energy for the records above, in order: -1778 -2030 -2146 -2199 meV per atom